{"formula": "CsVCl3", "functional": "r²SCAN", "state": "relaxed", "spacegroup": "P6_3/mmc", "formation_energy_ev_per_atom": -1.914, "cell": [[-0.189, 7.213, 0.568], [-4.020, -4.084, 4.421], [4.670, -0.198, 4.065]], "species": ["Cl", "Cs", "Cs", "Cl", "V", "Cl", "V", "Cl", "Cl", "Cl"], "fractional_positions": [[0.313, 0.156, 0.750], [0.333, 0.667, 0.750], [0.667, 0.333, 0.250], [0.844, 0.156, 0.750], [0.000, 0.000, 0.000], [0.156, 0.313, 0.250], [0.000, 0.000, 0.500], [0.687, 0.844, 0.250], [0.156, 0.844, 0.250], [0.844, 0.687, 0.750]]}

=====

{"formula": "Cs3V2Cl9", "functional": "r²SCAN", "state": "relaxed", "spacegroup": "P6_3/mmc", "formation_energy_ev_per_atom": -1.908, "cell": [[3.656, -6.332, 0.000], [3.656, 6.332, 0.000], [0.000, 0.000, 18.054]], "species": ["Cl", "Cl", "Cl", "Cl", "Cs", "Cs", "Cs", "Cl", "V", "Cl", "V", "Cl", "Cl", "Cs", "Cl", "Cl", "Cl", "Cl", "V", "Cs", "Cl", "Cl", "V", "Cl", "Cl", "Cl", "Cs", "Cl"], "fractional_positions": [[0.645, 0.823, 0.592], [0.823, 0.645, 0.092], [0.177, 0.355, 0.592], [0.355, 0.177, 0.408], [0.000, 0.000, 0.250], [0.667, 0.333, 0.922], [0.667, 0.333, 0.578], [0.355, 0.177, 0.092], [0.667, 0.333, 0.342], [0.823, 0.177, 0.408], [0.333, 0.667, 0.658], [0.177, 0.823, 0.908], [0.518, 0.482, 0.250], [0.333, 0.667, 0.422], [0.177, 0.355, 0.908], [0.645, 0.823, 0.908], [0.823, 0.177, 0.092], [0.518, 0.036, 0.250], [0.333, 0.667, 0.842], [0.000, 0.000, 0.750], [0.823, 0.645, 0.408], [0.964, 0.482, 0.250], [0.667, 0.333, 0.158], [0.036, 0.518, 0.750], [0.177, 0.823, 0.592], [0.482, 0.964, 0.750], [0.333, 0.667, 0.078], [0.482, 0.518, 0.750]]}

=====

{"formula": "CsW3Cl9", "functional": "r²SCAN", "state": "relaxed", "spacegroup": "P-3", "formation_energy_ev_per_atom": -1.098, "cell": [[-4.842, 6.814, 4.724], [-4.017, -8.595, -1.475], [3.268, -2.793, 7.377]], "species": ["Cl", "Cl", "W", "Cl", "Cs", "Cl", "Cl", "Cl", "Cl", "Cl", "W", "W", "Cl", "Cl", "Cl", "Cl", "Cl", "Cl", "Cl", "W", "Cs", "Cl", "W", "Cl", "Cl", "W"], "fractional_positions": [[0.948, 0.359, 0.698], [0.412, 0.250, 0.999], [0.193, 0.025, 0.871], [0.641, 0.589, 0.698], [0.333, 0.667, 0.584], [0.027, 0.815, 0.688], [0.589, 0.948, 0.302], [0.250, 0.838, 0.001], [0.838, 0.587, 0.999], [0.787, 0.973, 0.688], [0.832, 0.807, 0.871], [0.975, 0.168, 0.871], [0.973, 0.185, 0.312], [0.588, 0.750, 0.001], [0.411, 0.052, 0.698], [0.052, 0.641, 0.302], [0.213, 0.027, 0.312], [0.162, 0.413, 0.001], [0.359, 0.411, 0.302], [0.807, 0.975, 0.129], [0.667, 0.333, 0.416], [0.185, 0.213, 0.688], [0.025, 0.832, 0.129], [0.815, 0.787, 0.312], [0.750, 0.162, 0.999], [0.168, 0.193, 0.129]]}

=====

{"formula": "Cs2YbCl4", "functional": "r²SCAN", "state": "relaxed", "spacegroup": "I4/mmm", "formation_energy_ev_per_atom": -2.121, "cell": [[-2.612, 2.612, 8.642], [2.612, -2.612, 8.642], [2.612, 2.612, -8.642]], "species": ["Yb", "Cs", "Cs", "Cl", "Cl", "Cl", "Cl"], "fractional_positions": [[0.000, 0.000, 0.000], [0.357, 0.357, 0.000], [0.643, 0.643, 0.000], [0.000, 0.500, 0.500], [0.154, 0.154, 0.000], [0.846, 0.846, 0.000], [0.500, 0.000, 0.500]]}

=====

{"formula": "Cs2YbCl5", "functional": "r²SCAN", "state": "relaxed", "spacegroup": "Pnma", "formation_energy_ev_per_atom": -2.455, "cell": [[7.415, 0.000, 0.000], [0.000, 9.470, 0.000], [0.000, 0.000, 15.248]], "species": ["Cs", "Cl", "Cl", "Cl", "Cl", "Cl", "Cs", "Yb", "Cs", "Cl", "Cl", "Cs", "Cs", "Cl", "Yb", "Cl", "Cs", "Cl", "Cs", "Cl", "Cl", "Cl", "Cl", "Cl", "Cl", "Cs", "Cl", "Cl", "Yb", "Yb", "Cl", "Cl"], "fractional_positions": [[0.250, 0.165, 0.584], [0.498, 0.167, 0.381], [0.500, 0.500, 0.500], [0.000, 0.500, 0.500], [0.500, 0.000, 0.000], [0.998, 0.333, 0.881], [0.750, 0.528, 0.711], [0.750, 0.823, 0.065], [0.250, 0.472, 0.289], [0.498, 0.667, 0.119], [0.250, 0.790, 0.411], [0.750, 0.028, 0.789], [0.750, 0.335, 0.084], [0.750, 0.983, 0.199], [0.250, 0.677, 0.565], [0.000, 0.000, 0.000], [0.750, 0.835, 0.416], [0.750, 0.710, 0.911], [0.250, 0.665, 0.916], [0.002, 0.167, 0.381], [0.750, 0.483, 0.301], [0.250, 0.017, 0.801], [0.250, 0.290, 0.089], [0.250, 0.517, 0.699], [0.502, 0.833, 0.619], [0.250, 0.972, 0.211], [0.750, 0.210, 0.589], [0.998, 0.833, 0.619], [0.750, 0.323, 0.435], [0.250, 0.177, 0.935], [0.002, 0.667, 0.119], [0.502, 0.333, 0.881]]}

=====

{"formula": "CsYbCl3", "functional": "r²SCAN", "state": "relaxed", "spacegroup": "Pm-3m", "formation_energy_ev_per_atom": -2.106, "cell": [[-2.885, 2.706, -3.421], [-2.229, -4.440, -1.633], [-3.750, 0.557, 3.603]], "species": ["Yb", "Cl", "Cs", "Cl", "Cl"], "fractional_positions": [[0.500, 0.500, 0.500], [0.000, 0.500, 0.500], [0.000, 0.000, 0.000], [0.500, 0.500, 0.000], [0.500, 0.000, 0.500]]}

=====

{"formula": "CuClF10", "functional": "r²SCAN", "state": "relaxed", "de_polymorph_mev_per_atom": 35, "spacegroup": "P2_1/c", "formation_energy_ev_per_atom": -0.694, "cell": [[-3.093, -5.178, 6.321], [-2.408, -2.619, -3.324], [5.257, -5.137, -1.636]], "species": ["F", "F", "F", "F", "F", "Cl", "F", "F", "F", "F", "Cl", "F", "F", "Cu", "F", "F", "F", "F", "F", "F", "F", "F", "Cu", "F"], "fractional_positions": [[0.888, 0.202, 0.620], [0.117, 0.341, 0.159], [0.102, 0.788, 0.986], [0.657, 0.447, 0.370], [0.383, 0.841, 0.159], [0.500, 0.000, 0.000], [0.388, 0.298, 0.380], [0.898, 0.212, 0.014], [0.112, 0.798, 0.380], [0.108, 0.399, 0.844], [0.000, 0.500, 0.000], [0.157, 0.053, 0.630], [0.398, 0.288, 0.986], [0.000, 0.000, 0.500], [0.602, 0.712, 0.014], [0.392, 0.899, 0.844], [0.608, 0.101, 0.156], [0.843, 0.947, 0.370], [0.617, 0.159, 0.841], [0.612, 0.702, 0.620], [0.892, 0.601, 0.156], [0.343, 0.553, 0.630], [0.500, 0.500, 0.500], [0.883, 0.659, 0.841]]}

=====

{"formula": "CuClF10", "functional": "r²SCAN", "state": "relaxed", "de_polymorph_mev_per_atom": 0, "spacegroup": "P2_1/c", "formation_energy_ev_per_atom": -0.728, "cell": [[-4.976, 6.158, -3.901], [-2.408, 0.358, 3.637], [4.403, 5.811, 3.557]], "species": ["F", "F", "F", "F", "F", "F", "Cl", "F", "F", "Cu", "F", "F", "F", "F", "F", "F", "F", "F", "F", "Cu", "F", "F", "Cl", "F"], "fractional_positions": [[0.407, 0.238, 0.626], [0.106, 0.670, 0.623], [0.334, 0.969, 0.385], [0.642, 0.714, 0.039], [0.166, 0.969, 0.885], [0.049, 0.752, 0.345], [0.500, 0.500, 0.000], [0.451, 0.752, 0.845], [0.593, 0.762, 0.374], [0.000, 0.000, 0.000], [0.606, 0.330, 0.877], [0.093, 0.238, 0.126], [0.894, 0.330, 0.377], [0.358, 0.286, 0.961], [0.907, 0.762, 0.874], [0.142, 0.286, 0.461], [0.394, 0.670, 0.123], [0.858, 0.714, 0.539], [0.951, 0.248, 0.655], [0.500, 0.000, 0.500], [0.549, 0.248, 0.155], [0.666, 0.031, 0.615], [0.000, 0.500, 0.500], [0.834, 0.031, 0.115]]}

=====

{"formula": "K2CuCl3", "functional": "r²SCAN", "state": "relaxed", "spacegroup": "Pnma", "formation_energy_ev_per_atom": -1.626, "cell": [[-3.552, -1.285, -1.578], [-0.451, -8.779, 8.160], [-6.217, 7.586, 7.818]], "species": ["K", "Cu", "K", "Cl", "Cl", "Cl", "Cl", "K", "K", "Cl", "K", "K", "Cu", "Cu", "Cl", "Cu", "Cl", "Cl", "Cl", "Cl", "Cl", "K", "K", "Cl"], "fractional_positions": [[0.250, 0.987, 0.175], [0.750, 0.755, 0.303], [0.250, 0.487, 0.325], [0.750, 0.276, 0.788], [0.250, 0.224, 0.288], [0.750, 0.439, 0.140], [0.250, 0.724, 0.212], [0.750, 0.674, 0.019], [0.250, 0.826, 0.519], [0.250, 0.061, 0.640], [0.750, 0.513, 0.675], [0.750, 0.013, 0.825], [0.250, 0.745, 0.803], [0.250, 0.245, 0.697], [0.250, 0.865, 0.948], [0.750, 0.255, 0.197], [0.750, 0.776, 0.712], [0.750, 0.635, 0.448], [0.750, 0.135, 0.052], [0.250, 0.561, 0.860], [0.750, 0.939, 0.360], [0.750, 0.174, 0.481], [0.250, 0.326, 0.981], [0.250, 0.365, 0.552]]}

=====

{"formula": "KCuCl3", "functional": "r²SCAN", "state": "relaxed", "spacegroup": "Pm-3m", "formation_energy_ev_per_atom": -1.260, "cell": [[-3.399, -2.116, -2.643], [1.895, -4.293, 1.000], [-2.806, -0.336, 3.878]], "species": ["Cl", "Cu", "K", "Cl", "Cl"], "fractional_positions": [[0.000, 0.500, 0.500], [0.500, 0.500, 0.500], [0.000, 0.000, 0.000], [0.500, 0.000, 0.500], [0.500, 0.500, 0.000]]}

=====

{"formula": "KCuCl3", "functional": "r²SCAN", "state": "relaxed", "spacegroup": "P2_1/c", "formation_energy_ev_per_atom": -1.291, "cell": [[-3.224, -2.236, -1.045], [2.573, -4.898, 6.735], [-7.908, 7.456, 8.444]], "species": ["Cu", "Cl", "Cl", "Cl", "Cu", "Cl", "Cl", "Cl", "Cl", "Cl", "Cl", "K", "Cl", "Cu", "K", "Cl", "K", "K", "Cu", "Cl"], "fractional_positions": [[0.238, 0.657, 0.450], [0.676, 0.320, 0.992], [0.274, 0.763, 0.301], [0.274, 0.263, 0.199], [0.762, 0.843, 0.950], [0.726, 0.237, 0.699], [0.324, 0.680, 0.008], [0.824, 0.965, 0.099], [0.676, 0.820, 0.508], [0.176, 0.035, 0.901], [0.726, 0.737, 0.801], [0.783, 0.058, 0.331], [0.176, 0.535, 0.599], [0.238, 0.157, 0.050], [0.783, 0.558, 0.169], [0.824, 0.465, 0.401], [0.217, 0.942, 0.669], [0.217, 0.442, 0.831], [0.762, 0.343, 0.550], [0.324, 0.180, 0.492]]}

=====

{"formula": "K4Cu4Cl10O", "functional": "r²SCAN", "state": "relaxed", "spacegroup": "C2/c", "formation_energy_ev_per_atom": -1.338, "cell": [[7.444, 7.332, -0.022], [-7.444, 7.331, -0.022], [0.000, 2.186, 8.640]], "species": ["Cl", "Cl", "Cl", "O", "Cl", "Cl", "K", "Cu", "K", "Cl", "Cl", "K", "Cl", "Cl", "Cu", "Cl", "Cl", "Cl", "O", "K", "Cu", "Cl", "K", "Cu", "Cu", "Cl", "Cl", "K", "Cu", "Cl", "K", "Cl", "Cl", "Cl", "Cl", "K", "Cu", "Cu"], "fractional_positions": [[0.415, 0.585, 0.750], [0.506, 0.738, 0.022], [0.725, 0.174, 0.583], [0.217, 0.783, 0.750], [0.021, 0.979, 0.750], [0.494, 0.262, 0.978], [0.712, 0.970, 0.877], [0.950, 0.233, 0.116], [0.706, 0.554, 0.867], [0.856, 0.735, 0.042], [0.144, 0.265, 0.958], [0.288, 0.030, 0.123], [0.599, 0.010, 0.225], [0.735, 0.856, 0.542], [0.232, 0.645, 0.631], [0.990, 0.401, 0.275], [0.826, 0.275, 0.917], [0.010, 0.599, 0.725], [0.783, 0.217, 0.250], [0.446, 0.294, 0.633], [0.645, 0.232, 0.131], [0.265, 0.144, 0.458], [0.030, 0.288, 0.623], [0.767, 0.050, 0.384], [0.768, 0.355, 0.369], [0.585, 0.415, 0.250], [0.738, 0.506, 0.522], [0.554, 0.706, 0.367], [0.355, 0.768, 0.869], [0.401, 0.990, 0.775], [0.294, 0.446, 0.133], [0.262, 0.494, 0.478], [0.979, 0.021, 0.250], [0.275, 0.826, 0.417], [0.174, 0.725, 0.083], [0.970, 0.712, 0.377], [0.050, 0.767, 0.884], [0.233, 0.950, 0.616]]}

=====

{"formula": "CuMo3Cl7", "functional": "r²SCAN", "state": "relaxed", "spacegroup": "Pn-3", "formation_energy_ev_per_atom": -0.990, "cell": [[12.919, 0.000, 0.000], [0.000, 12.919, 0.000], [0.000, 0.000, 12.919]], "species": ["Cl", "Mo", "Mo", "Mo", "Cl", "Mo", "Cl", "Cl", "Mo", "Cl", "Cl", "Cl", "Cu", "Cu", "Mo", "Mo", "Cl", "Cl", "Mo", "Cl", "Cl", "Cl", "Cl", "Cl", "Cl", "Cl", "Cl", "Cl", "Cl", "Cl", "Mo", "Mo", "Mo", "Cl", "Cl", "Mo", "Cl", "Cl", "Cl", "Cl", "Cl", "Cl", "Mo", "Mo", "Cl", "Cl", "Cl", "Cl", "Cl", "Cl", "Cl", "Cl", "Cl", "Cl", "Mo", "Cl", "Cl", "Cl", "Mo", "Cu", "Cl", "Cl", "Cl", "Cl", "Cl", "Cl", "Mo", "Cl", "Mo", "Mo", "Cu", "Cu", "Cu", "Mo", "Cu", "Cl", "Cu", "Mo", "Cl", "Mo", "Cl", "Mo", "Cl", "Mo", "Cl", "Cl", "Cl", "Cl"], "fractional_positions": [[0.326, 0.875, 0.434], [0.386, 0.225, 0.719], [0.719, 0.386, 0.225], [0.386, 0.775, 0.281], [0.613, 0.613, 0.613], [0.219, 0.886, 0.275], [0.066, 0.826, 0.375], [0.311, 0.172, 0.068], [0.719, 0.614, 0.775], [0.174, 0.375, 0.934], [0.613, 0.387, 0.387], [0.434, 0.674, 0.125], [0.310, 0.690, 0.690], [0.690, 0.310, 0.690], [0.614, 0.775, 0.719], [0.281, 0.386, 0.775], [0.932, 0.311, 0.828], [0.172, 0.068, 0.311], [0.781, 0.114, 0.275], [0.172, 0.932, 0.689], [0.875, 0.566, 0.674], [0.432, 0.189, 0.328], [0.068, 0.689, 0.828], [0.387, 0.387, 0.613], [0.068, 0.311, 0.172], [0.566, 0.326, 0.125], [0.625, 0.934, 0.826], [0.672, 0.568, 0.189], [0.375, 0.934, 0.174], [0.828, 0.068, 0.689], [0.775, 0.719, 0.614], [0.886, 0.275, 0.219], [0.281, 0.614, 0.225], [0.689, 0.828, 0.068], [0.625, 0.066, 0.174], [0.725, 0.219, 0.114], [0.875, 0.434, 0.326], [0.934, 0.826, 0.625], [0.328, 0.432, 0.189], [0.066, 0.174, 0.625], [0.174, 0.625, 0.066], [0.387, 0.613, 0.387], [0.725, 0.781, 0.886], [0.114, 0.725, 0.219], [0.328, 0.568, 0.811], [0.811, 0.328, 0.568], [0.689, 0.172, 0.932], [0.674, 0.125, 0.434], [0.811, 0.672, 0.432], [0.113, 0.887, 0.113], [0.189, 0.672, 0.568], [0.826, 0.625, 0.934], [0.311, 0.828, 0.932], [0.932, 0.689, 0.172], [0.275, 0.781, 0.114], [0.375, 0.066, 0.826], [0.674, 0.875, 0.566], [0.432, 0.811, 0.672], [0.775, 0.281, 0.386], [0.190, 0.190, 0.190], [0.568, 0.189, 0.672], [0.887, 0.113, 0.113], [0.826, 0.375, 0.066], [0.326, 0.125, 0.566], [0.125, 0.566, 0.326], [0.566, 0.674, 0.875], [0.275, 0.219, 0.886], [0.828, 0.932, 0.311], [0.886, 0.725, 0.781], [0.225, 0.281, 0.614], [0.810, 0.810, 0.190], [0.690, 0.690, 0.310], [0.190, 0.810, 0.810], [0.225, 0.719, 0.386], [0.810, 0.190, 0.810], [0.934, 0.174, 0.375], [0.310, 0.310, 0.310], [0.219, 0.114, 0.725], [0.887, 0.887, 0.887], [0.781, 0.886, 0.725], [0.113, 0.113, 0.887], [0.114, 0.275, 0.781], [0.568, 0.811, 0.328], [0.614, 0.225, 0.281], [0.189, 0.328, 0.432], [0.125, 0.434, 0.674], [0.672, 0.432, 0.811], [0.434, 0.326, 0.875]]}